{"formula": "Nd2Bi7O14", "functional": "PBE", "state": "optimized geometry", "cell": [[1.986, 10.503, 0.000], [-1.986, 10.503, 0.000], [0.000, 4.422, 9.779]], "species": ["O", "O", "Bi", "O", "Bi", "O", "O", "Bi", "O", "O", "O", "O", "O", "O", "Bi", "Bi", "Bi", "Nd", "Bi", "O", "O", "O", "Nd"], "frac_coords": [[0.793, 0.793, 0.897], [0.052, 0.052, 0.316], [0.819, 0.819, 0.312], [0.944, 0.944, 0.691], [0.509, 0.509, 0.692], [0.131, 0.131, 0.911], [0.066, 0.066, 0.732], [0.843, 0.843, 0.678], [0.203, 0.203, 0.103], [0.864, 0.864, 0.088], [0.291, 0.291, 0.250], [0.466, 0.466, 0.909], [0.675, 0.675, 0.396], [0.344, 0.344, 0.592], [0.177, 0.177, 0.688], [0.328, 0.328, 0.017], [0.155, 0.155, 0.327], [0.669, 0.669, 0.986], [0.487, 0.487, 0.314], [0.538, 0.538, 0.097], [0.933, 0.933, 0.259], [0.711, 0.711, 0.741], [0.000, 0.000, 0.003]], "total_energy_ry_per_atom": -0.4583, "magnetic_moment_mub_per_atom": 0.0205}